# 1
Density functional theory data (PBE+U) for a relaxed Sr2Ca6Fe3Co5O24 crystal.

Summary:
Energy of formation from the pure elements, eV/atom: -2.0355
Crystal system: orthorhombic

Lattice parameters (Å, degrees): 7.664 7.667 7.667 90.16 90.00 90.00
Fractional coordinates of all 40 atoms:
Sr 0.249 0.000 0.000
Sr 0.751 0.000 0.000
Ca 0.250 0.002 0.496
Ca 0.250 0.496 0.002
Ca 0.250 0.496 0.496
Ca 0.750 0.002 0.496
Ca 0.750 0.496 0.002
Ca 0.750 0.496 0.496
Fe 0.500 0.250 0.250
Fe 0.500 0.251 0.748
Fe 0.500 0.748 0.251
Co 0.000 0.250 0.250
Co 0.000 0.251 0.747
Co 0.000 0.747 0.251
Co 0.000 0.747 0.747
Co 0.500 0.748 0.748
O 0.000 0.003 0.256
O 0.000 0.011 0.743
O 0.000 0.251 0.495
O 0.000 0.256 0.003
O 0.000 0.488 0.747
O 0.000 0.495 0.251
O 0.000 0.743 0.011
O 0.000 0.747 0.488
O 0.240 0.746 0.746
O 0.248 0.253 0.745
O 0.248 0.745 0.253
O 0.249 0.253 0.253
O 0.500 0.001 0.255
O 0.500 0.251 0.497
O 0.500 0.255 0.001
O 0.500 0.497 0.251
O 0.500 0.505 0.747
O 0.500 0.742 0.994
O 0.500 0.747 0.505
O 0.500 0.994 0.742
O 0.751 0.253 0.253
O 0.752 0.253 0.745
O 0.752 0.745 0.253
O 0.760 0.746 0.746



# 2
Density functional theory data (PBE+U) for a relaxed Sr7CaFe5Co3O24 crystal.

Summary:
Energy of formation from the pure elements, eV/atom: -2.1200
Crystal system: monoclinic

Lattice parameters (Å, degrees): 7.764 7.764 7.768 90.01 90.01 90.01
Fractional coordinates of all 40 atoms:
Sr 0.000 0.000 0.000
Sr 0.000 0.000 0.496
Sr 0.000 0.497 0.000
Sr 0.000 0.497 0.496
Sr 0.497 0.000 0.000
Sr 0.497 0.000 0.496
Sr 0.497 0.497 0.000
Ca 0.497 0.497 0.496
Fe 0.249 0.249 0.747
Fe 0.249 0.748 0.747
Fe 0.748 0.249 0.747
Fe 0.748 0.748 0.248
Fe 0.748 0.748 0.747
Co 0.249 0.249 0.248
Co 0.249 0.748 0.248
Co 0.748 0.249 0.248
O 0.000 0.249 0.748
O 0.007 0.748 0.248
O 0.249 0.000 0.748
O 0.249 0.249 0.008
O 0.249 0.748 0.001
O 0.249 0.998 0.248
O 0.251 0.251 0.488
O 0.251 0.497 0.745
O 0.251 0.499 0.250
O 0.251 0.746 0.494
O 0.491 0.746 0.250
O 0.497 0.251 0.745
O 0.498 0.746 0.746
O 0.499 0.251 0.250
O 0.746 0.251 0.494
O 0.746 0.491 0.250
O 0.746 0.498 0.746
O 0.746 0.746 0.495
O 0.748 0.007 0.248
O 0.748 0.249 0.001
O 0.748 0.748 0.001
O 0.748 0.999 0.747
O 0.998 0.249 0.248
O 0.999 0.748 0.747



# 3
Density functional theory data (PBE+U) for a relaxed SrCa7FeCo7O20 crystal.

Summary:
Energy of formation from the pure elements, eV/atom: -2.1855
Crystal system: triclinic

Lattice parameters (Å, degrees): 10.651 11.133 17.032 108.70 107.84 91.00
Fractional coordinates of all 144 atoms:
Sr 0.000 0.000 0.000
Sr 0.110 0.096 0.720
Sr 0.607 0.094 0.720
Sr 0.857 0.363 0.719
Ca 0.105 0.596 0.718
Ca 0.107 0.593 0.221
Ca 0.109 0.091 0.220
Ca 0.246 0.233 0.499
Ca 0.246 0.734 0.500
Ca 0.246 0.739 0.002
Ca 0.252 0.233 0.006
Ca 0.354 0.368 0.717
Ca 0.354 0.864 0.717
Ca 0.354 0.867 0.219
Ca 0.359 0.366 0.220
Ca 0.493 0.005 0.498
Ca 0.495 0.511 0.003
Ca 0.496 0.505 0.500
Ca 0.497 0.007 0.001
Ca 0.604 0.096 0.219
Ca 0.604 0.594 0.718
Ca 0.607 0.593 0.220
Ca 0.745 0.232 0.498
Ca 0.746 0.737 0.003
Ca 0.748 0.732 0.499
Ca 0.749 0.235 0.007
Ca 0.855 0.866 0.220
Ca 0.856 0.863 0.714
Ca 0.857 0.368 0.221
Ca 0.996 0.006 0.499
Ca 0.997 0.508 0.500
Ca 0.999 0.515 0.006
Fe 0.165 0.397 0.864
Fe 0.654 0.396 0.863
Fe 0.905 0.708 0.858
Fe 0.910 0.212 0.865
Co 0.055 0.300 0.606
Co 0.055 0.798 0.606
Co 0.057 0.800 0.113
Co 0.058 0.300 0.112
Co 0.159 0.394 0.360
Co 0.159 0.893 0.360
Co 0.163 0.892 0.858
Co 0.303 0.048 0.605
Co 0.304 0.549 0.608
Co 0.307 0.552 0.111
Co 0.308 0.051 0.113
Co 0.408 0.206 0.359
Co 0.408 0.704 0.860
Co 0.408 0.705 0.359
Co 0.410 0.205 0.863
Co 0.552 0.299 0.605
Co 0.554 0.796 0.606
Co 0.556 0.803 0.112
Co 0.557 0.302 0.112
Co 0.655 0.892 0.860
Co 0.658 0.893 0.358
Co 0.660 0.395 0.360
Co 0.802 0.045 0.604
Co 0.806 0.549 0.608
Co 0.806 0.551 0.110
Co 0.807 0.052 0.114
Co 0.907 0.207 0.359
Co 0.908 0.705 0.359
O 0.005 0.201 0.973
O 0.138 0.400 0.750
O 0.138 0.904 0.254
O 0.139 0.404 0.252
O 0.141 0.891 0.748
O 0.171 0.417 0.597
O 0.173 0.917 0.592
O 0.177 0.919 0.103
O 0.180 0.427 0.101
O 0.184 0.684 0.127
O 0.188 0.187 0.127
O 0.189 0.178 0.617
O 0.189 0.674 0.620
O 0.225 0.729 0.860
O 0.226 0.232 0.359
O 0.226 0.732 0.360
O 0.232 0.240 0.870
O 0.244 0.511 0.467
O 0.245 0.007 0.968
O 0.246 0.012 0.466
O 0.254 0.522 0.974
O 0.382 0.090 0.755
O 0.387 0.591 0.751
O 0.388 0.090 0.252
O 0.388 0.589 0.251
O 0.418 0.422 0.595
O 0.419 0.919 0.595
O 0.427 0.415 0.096
O 0.427 0.914 0.098
O 0.434 0.187 0.618
O 0.436 0.682 0.126
O 0.438 0.185 0.123
O 0.438 0.684 0.619
O 0.471 0.371 0.861
O 0.472 0.869 0.860
O 0.475 0.867 0.359
O 0.477 0.368 0.360
O 0.493 0.197 0.467
O 0.494 0.696 0.468
O 0.497 0.698 0.968
O 0.501 0.196 0.969
O 0.630 0.401 0.749
O 0.636 0.891 0.750
O 0.638 0.907 0.252
O 0.639 0.406 0.253
O 0.668 0.415 0.594
O 0.670 0.912 0.595
O 0.675 0.928 0.100
O 0.677 0.426 0.099
O 0.683 0.169 0.613
O 0.684 0.688 0.124
O 0.687 0.189 0.127
O 0.687 0.673 0.620
O 0.725 0.233 0.359
O 0.725 0.730 0.861
O 0.726 0.732 0.359
O 0.731 0.241 0.869
O 0.738 0.009 0.969
O 0.745 0.009 0.465
O 0.746 0.512 0.467
O 0.748 0.518 0.973
O 0.881 0.092 0.752
O 0.886 0.089 0.251
O 0.886 0.589 0.251
O 0.886 0.591 0.746
O 0.919 0.420 0.592
O 0.919 0.919 0.594
O 0.924 0.910 0.101
O 0.928 0.412 0.099
O 0.934 0.178 0.124
O 0.935 0.183 0.613
O 0.935 0.683 0.620
O 0.936 0.678 0.125
O 0.975 0.867 0.359
O 0.976 0.368 0.359
O 0.976 0.864 0.852
O 0.984 0.375 0.868
O 0.996 0.198 0.466
O 0.996 0.697 0.467
O 0.998 0.699 0.968



# 4
Density functional theory data (PBE+U) for a relaxed Sr5Ca3Fe7CoO24 crystal.

Summary:
Energy of formation from the pure elements, eV/atom: -2.1719
Crystal system: monoclinic

Lattice parameters (Å, degrees): 7.754 7.754 7.760 90.03 90.03 90.06
Fractional coordinates of all 40 atoms:
Sr 0.000 0.000 0.000
Sr 0.000 0.000 0.499
Sr 0.000 0.498 0.000
Sr 0.498 0.000 0.000
Sr 0.498 0.498 0.000
Ca 0.000 0.498 0.499
Ca 0.498 0.000 0.499
Ca 0.498 0.498 0.499
Fe 0.250 0.250 0.747
Fe 0.250 0.748 0.251
Fe 0.250 0.748 0.747
Fe 0.748 0.250 0.251
Fe 0.748 0.250 0.747
Fe 0.748 0.748 0.252
Fe 0.748 0.748 0.747
Co 0.250 0.250 0.252
O 0.000 0.746 0.254
O 0.007 0.253 0.254
O 0.249 0.491 0.255
O 0.249 0.498 0.743
O 0.250 0.250 0.005
O 0.250 0.749 0.000
O 0.252 0.252 0.494
O 0.252 0.746 0.499
O 0.252 0.999 0.745
O 0.253 0.007 0.254
O 0.491 0.249 0.255
O 0.498 0.249 0.743
O 0.498 0.748 0.256
O 0.500 0.748 0.743
O 0.746 0.000 0.254
O 0.746 0.252 0.499
O 0.746 0.746 0.500
O 0.746 0.998 0.745
O 0.748 0.498 0.256
O 0.748 0.500 0.743
O 0.748 0.748 0.999
O 0.749 0.250 0.000
O 0.998 0.746 0.745
O 0.999 0.252 0.745



# 5
Density functional theory data (PBE+U) for a relaxed Sr7CaFe4Co4O24 crystal.

Summary:
Energy of formation from the pure elements, eV/atom: -2.0849
Crystal system: trigonal

Lattice parameters (Å, degrees): 7.747 7.747 7.747 90.02 90.02 90.02
Fractional coordinates of all 40 atoms:
Sr 0.000 0.000 0.000
Sr 0.000 0.000 0.500
Sr 0.000 0.500 0.000
Sr 0.000 0.500 0.500
Sr 0.500 0.000 0.000
Sr 0.500 0.000 0.500
Sr 0.500 0.500 0.000
Ca 0.499 0.499 0.499
Fe 0.250 0.250 0.250
Fe 0.251 0.251 0.749
Fe 0.251 0.749 0.251
Fe 0.749 0.251 0.251
Co 0.250 0.749 0.749
Co 0.749 0.250 0.749
Co 0.749 0.749 0.250
Co 0.749 0.749 0.749
O 0.001 0.250 0.250
O 0.004 0.749 0.749
O 0.250 0.001 0.250
O 0.250 0.250 0.001
O 0.250 0.750 0.997
O 0.250 0.997 0.750
O 0.252 0.252 0.499
O 0.252 0.499 0.252
O 0.252 0.503 0.748
O 0.252 0.748 0.503
O 0.496 0.748 0.748
O 0.499 0.252 0.252
O 0.503 0.252 0.748
O 0.503 0.748 0.252
O 0.748 0.252 0.503
O 0.748 0.496 0.748
O 0.748 0.503 0.252
O 0.748 0.748 0.496
O 0.749 0.004 0.749
O 0.749 0.749 0.004
O 0.750 0.250 0.997
O 0.750 0.997 0.250
O 0.997 0.250 0.750
O 0.997 0.750 0.250



# 6
Density functional theory data (PBE+U) for a relaxed Sr6Ca2Fe5Co3O24 crystal.

Summary:
Energy of formation from the pure elements, eV/atom: -2.1154
Crystal system: monoclinic

Lattice parameters (Å, degrees): 7.730 7.749 7.777 90.00 90.06 90.00
Fractional coordinates of all 40 atoms:
Sr 0.246 0.000 0.248
Sr 0.246 0.000 0.753
Sr 0.246 0.503 0.752
Sr 0.754 0.000 0.247
Sr 0.754 0.000 0.752
Sr 0.754 0.503 0.248
Ca 0.244 0.503 0.247
Ca 0.756 0.503 0.753
Fe 0.000 0.252 0.500
Fe 0.000 0.750 0.500
Fe 0.500 0.253 0.500
Fe 0.500 0.254 0.000
Fe 0.500 0.750 0.500
Co 0.000 0.253 0.000
Co 0.000 0.750 0.000
Co 0.500 0.750 0.000
O 0.000 0.001 0.500
O 0.000 0.002 0.000
O 0.000 0.501 0.000
O 0.000 0.502 0.500
O 0.002 0.256 0.243
O 0.002 0.747 0.250
O 0.237 0.748 0.002
O 0.247 0.256 0.002
O 0.248 0.748 0.498
O 0.250 0.255 0.498
O 0.497 0.748 0.248
O 0.498 0.255 0.248
O 0.500 0.002 0.500
O 0.500 0.501 0.500
O 0.500 0.516 0.000
O 0.500 0.987 0.000
O 0.502 0.255 0.752
O 0.503 0.748 0.752
O 0.750 0.255 0.502
O 0.752 0.748 0.502
O 0.753 0.256 0.998
O 0.763 0.748 0.998
O 0.998 0.256 0.757
O 0.998 0.747 0.750



# 7
Density functional theory data (PBE+U) for a relaxed SrCa7Fe2Co6O24 crystal.

Summary:
Energy of formation from the pure elements, eV/atom: -1.9939
Crystal system: orthorhombic

Lattice parameters (Å, degrees): 7.647 7.600 7.600 90.10 90.00 90.00
Fractional coordinates of all 40 atoms:
Sr 0.000 0.000 0.000
Ca 0.000 0.003 0.493
Ca 0.000 0.493 0.003
Ca 0.000 0.493 0.493
Ca 0.500 0.003 0.003
Ca 0.500 0.003 0.493
Ca 0.500 0.493 0.003
Ca 0.500 0.493 0.493
Fe 0.251 0.249 0.249
Fe 0.749 0.249 0.249
Co 0.251 0.249 0.747
Co 0.251 0.747 0.249
Co 0.251 0.747 0.747
Co 0.749 0.249 0.747
Co 0.749 0.747 0.249
Co 0.749 0.747 0.747
O 0.000 0.251 0.251
O 0.000 0.252 0.743
O 0.000 0.743 0.252
O 0.000 0.745 0.745
O 0.251 0.249 0.499
O 0.251 0.491 0.747
O 0.251 0.499 0.249
O 0.251 0.747 0.491
O 0.253 0.005 0.745
O 0.253 0.745 0.005
O 0.254 0.251 0.997
O 0.254 0.997 0.251
O 0.500 0.249 0.249
O 0.500 0.249 0.747
O 0.500 0.747 0.249
O 0.500 0.747 0.747
O 0.746 0.251 0.997
O 0.746 0.997 0.251
O 0.747 0.005 0.745
O 0.747 0.745 0.005
O 0.749 0.249 0.499
O 0.749 0.491 0.747
O 0.749 0.499 0.249
O 0.749 0.747 0.491